[1]
This record from the Materials Project describes crystalline MgCuPdO2 at its relaxed geometry. The functional is PBE.

Unit cell a=2.946 b=4.441 c=5.751 alpha=90.00 beta=90.00 gamma=90.00
Sites, in units of the cell vectors:
Mg: 0.000 0.000 0.000
Cu: 0.500 0.500 0.000
Pd: 0.000 0.000 0.500
O: 0.500 0.000 0.244
O: 0.500 0.000 0.756

Summary:
Its offset from the most stable computed form is 1.166 eV per formula unit. Its energy of formation is -0.836 eV per atom. The space group is Pmmm (47). Its total energy after the MP2020 corrections is -0.3668 Ry/atom.

[2]
This record from the Materials Project describes crystalline MgCu2Pd2O4 at its relaxed geometry. The functional is PBE.

Unit cell a=4.389 b=4.732 c=5.780 alpha=90.00 beta=91.45 gamma=90.00
Sites, in units of the cell vectors:
Mg: 0.000 0.000 0.000
Cu: 0.248 0.107 0.428
Cu: 0.752 0.107 0.572
Pd: 0.261 0.607 0.757
Pd: 0.739 0.607 0.243
O: 0.000 0.411 0.500
O: 0.000 0.413 0.000
O: 0.500 0.802 0.500
O: 0.500 0.843 0.000

Summary:
Its offset from the most stable computed form is 0.000 eV per formula unit. Its energy of formation is -0.925 eV per atom. The space group is P2 (3). Its total energy after the MP2020 corrections is -0.3942 Ry/atom.

[3]
This record from the Materials Project describes crystalline Pr4MgCu2O8 at its relaxed geometry. The functional is PBE.

Unit cell a=9.073 b=9.073 c=4.775 alpha=91.17 beta=91.17 gamma=34.81
Sites, in units of the cell vectors:
Pr: 0.154 0.154 0.467
Pr: 0.326 0.326 0.976
Pr: 0.674 0.674 0.024
Pr: 0.846 0.846 0.533
Mg: 0.500 0.500 0.000
Cu: 0.000 0.000 0.000
Cu: 0.500 0.500 0.500
O: 0.191 0.191 0.968
O: 0.199 0.676 0.777
O: 0.298 0.298 0.472
O: 0.324 0.801 0.223
O: 0.676 0.199 0.777
O: 0.702 0.702 0.528
O: 0.801 0.324 0.223
O: 0.809 0.809 0.032

Summary:
Its energy of formation is -2.613 eV per atom. The space group is C2/m (12). Its total energy after the MP2020 corrections is -0.5277 Ry/atom.

[4]
This record from the Materials Project describes crystalline MgCuPtO2 at its relaxed geometry. The functional is PBE.

Unit cell a=2.967 b=4.495 c=5.713 alpha=90.00 beta=90.00 gamma=90.00
Sites, in units of the cell vectors:
Mg: 0.000 0.000 0.000
Cu: 0.500 0.500 0.000
Pt: 0.000 0.000 0.500
O: 0.500 0.000 0.249
O: 0.500 0.000 0.751

Summary:
Its offset from the most stable computed form is 1.521 eV per formula unit. Its energy of formation is -0.726 eV per atom. The space group is Pmmm (47). Its total energy after the MP2020 corrections is -0.3719 Ry/atom.

[5]
This record from the Materials Project describes crystalline MgCuPtO2 at its relaxed geometry. The functional is PBE.

Unit cell a=2.789 b=2.859 c=7.742 alpha=90.00 beta=90.00 gamma=90.00
Sites, in units of the cell vectors:
Mg: 0.000 0.000 0.000
Cu: 0.000 0.500 0.312
Pt: 0.500 0.000 0.688
O: 0.500 0.500 0.102
O: 0.500 0.500 0.486

Summary:
Its offset from the most stable computed form is 0.000 eV per formula unit. Its energy of formation is -1.030 eV per atom. The space group is Pmm2 (25). Its total energy after the MP2020 corrections is -0.3942 Ry/atom.

[6]
This record from the Materials Project describes crystalline MgCuPtO2 at its relaxed geometry. The functional is PBE.

Unit cell a=2.871 b=4.594 c=5.620 alpha=90.00 beta=90.00 gamma=90.00
Sites, in units of the cell vectors:
Mg: 0.000 0.000 0.000
Cu: 0.000 0.000 0.500
Pt: 0.500 0.500 0.000
O: 0.500 0.000 0.258
O: 0.500 0.000 0.742

Summary:
Its offset from the most stable computed form is 0.948 eV per formula unit. Its energy of formation is -0.841 eV per atom. The space group is Pmmm (47). Its total energy after the MP2020 corrections is -0.3803 Ry/atom.

[7]
This record from the Materials Project describes crystalline MgCu2S2O8 at its relaxed geometry. The functional is PBE.

Unit cell a=6.288 b=7.664 c=9.244 alpha=90.00 beta=130.87 gamma=90.00
Sites, in units of the cell vectors:
Mg: 0.000 0.000 0.000
Mg: 0.000 0.500 0.500
Cu: 0.191 0.185 0.416
Cu: 0.191 0.315 0.916
Cu: 0.809 0.685 0.084
Cu: 0.809 0.815 0.584
S: 0.386 0.627 0.150
S: 0.386 0.873 0.650
S: 0.614 0.127 0.350
S: 0.614 0.373 0.850
O: 0.025 0.017 0.234
O: 0.025 0.483 0.734
O: 0.149 0.745 0.105
O: 0.149 0.755 0.605
O: 0.372 0.135 0.130
O: 0.372 0.365 0.630
O: 0.481 0.732 0.061
O: 0.481 0.768 0.561
O: 0.519 0.232 0.439
O: 0.519 0.268 0.939
O: 0.628 0.635 0.370
O: 0.628 0.865 0.870
O: 0.851 0.245 0.395
O: 0.851 0.255 0.895
O: 0.975 0.517 0.266
O: 0.975 0.983 0.766

Summary:
Its energy of formation is -1.351 eV per atom. The space group is P2_1/c (14). Its total energy after the MP2020 corrections is -0.4253 Ry/atom.

[8]
This record from the Materials Project describes crystalline MgCu2Sb2O8 at its relaxed geometry. The functional is PBE.

Unit cell a=6.583 b=8.713 c=12.305 alpha=90.00 beta=91.81 gamma=90.00
Sites, in units of the cell vectors:
Mg: 0.108 0.166 0.051
Mg: 0.108 0.334 0.551
Mg: 0.892 0.666 0.449
Mg: 0.892 0.834 0.949
Cu: 0.240 0.679 0.629
Cu: 0.240 0.821 0.129
Cu: 0.379 0.059 0.624
Cu: 0.379 0.441 0.124
Cu: 0.621 0.559 0.876
Cu: 0.621 0.941 0.376
Cu: 0.760 0.179 0.871
Cu: 0.760 0.321 0.371
Sb: 0.097 0.047 0.343
Sb: 0.097 0.453 0.843
Sb: 0.392 0.586 0.365
Sb: 0.392 0.914 0.865
Sb: 0.608 0.086 0.135
Sb: 0.608 0.414 0.635
Sb: 0.903 0.547 0.157
Sb: 0.903 0.953 0.657
O: 0.033 0.246 0.398
O: 0.033 0.254 0.898
O: 0.091 0.108 0.612
O: 0.091 0.392 0.112
O: 0.123 0.039 0.190
O: 0.123 0.461 0.690
O: 0.187 0.575 0.475
O: 0.187 0.925 0.975
O: 0.297 0.626 0.215
O: 0.297 0.874 0.715
O: 0.345 0.522 0.910
O: 0.345 0.978 0.410
O: 0.407 0.225 0.080
O: 0.407 0.275 0.580
O: 0.485 0.119 0.852
O: 0.485 0.381 0.352
O: 0.515 0.619 0.648
O: 0.515 0.881 0.148
O: 0.593 0.725 0.420
O: 0.593 0.775 0.920
O: 0.655 0.022 0.590
O: 0.655 0.478 0.090
O: 0.703 0.126 0.285
O: 0.703 0.374 0.785
O: 0.813 0.075 0.025
O: 0.813 0.425 0.525
O: 0.877 0.539 0.310
O: 0.877 0.961 0.810
O: 0.909 0.608 0.888
O: 0.909 0.892 0.388
O: 0.967 0.746 0.102
O: 0.967 0.754 0.602

Summary:
Its energy of formation is -1.616 eV per atom. The space group is P2_1/c (14). Its total energy after the MP2020 corrections is -0.4447 Ry/atom.